The following is a PBE calculation of a relaxed structure of Na14Mg6Si5Sn2S7O48, from the Materials Project.

## Properties
SG: P1 (1)
energy of formation from the pure elements: -197.7 eV/f.u.
crystal system: triclinic
magnetization: 0.00 μB per formula unit

a b c (Å): 9.0974 15.7144 22.3770
angles (deg): 89.86 90.00 89.85
Last column: nearest neighbours and their distance in Å.
Sites, in units of the cell vectors:
Na1 0.0000 0.0000 0.0000  4 O 2.34-2.56
Na2 0.9996 0.0334 0.6633  5 O 2.37-2.63
Na3 0.0166 0.6793 0.6684  4 O 2.41-2.66
Na4 0.0188 0.3410 0.3280  5 O 2.43-2.60
Na5 0.0263 0.7134 0.3363  3 O 2.34-2.60
Na6 0.0512 0.6943 0.9972  5 O 2.41-2.65
Na7 0.0622 0.0147 0.3365  4 O 2.36-2.59
Na8 0.0639 0.3568 0.6659  6 O 2.48-2.60
Na9 0.1869 0.5093 0.0838  3 O 2.34-2.61
Na10 0.1955 0.8588 0.4083  4 O 2.41-2.69
Na11 0.1968 0.5263 0.5815  6 O 2.44-2.70
Na12 0.1971 0.8567 0.9130  4 O 2.37-2.58
Na13 0.2001 0.1955 0.7500  6 O 2.49-2.72
Na14 0.2069 0.1951 0.2495  4 O 2.42-2.60
Na15 0.3186 0.3495 0.1784  4 O 2.39-2.54
Na16 0.3509 0.0189 0.8295  4 O 2.41-2.68
Na17 0.3691 0.3645 0.4943  6 O 2.46-2.75
Na18 0.3700 0.6717 0.1772  4 O 2.32-2.49
Na19 0.3782 0.7053 0.8195  6 O 2.37-2.64
Na20 0.3843 0.3490 0.8288  4 O 2.41-2.66
Na21 0.3858 0.0462 0.1763  4 O 2.32-2.55
Na22 0.5002 0.5452 0.6732  5 O 2.35-2.58
Na23 0.5020 0.8527 0.3328  3 O 2.40-2.65
Na24 0.5066 0.2056 0.3285  7 O 2.51-2.78
Na25 0.5101 0.1716 0.6641  6 O 2.47-2.63
Na26 0.5242 0.8762 0.9949  5 O 2.39-2.64
Na27 0.5333 0.5167 0.3334  3 O 2.39-2.66
Na28 0.5675 0.8513 0.6747  5 O 2.48-2.65
Na29 0.6786 0.6953 0.7442  5 O 2.40-2.69
Na30 0.6798 0.3482 0.4196  4 O 2.39-2.65
Na31 0.6852 0.6955 0.2550  4 O 2.41-2.64
Na32 0.6881 0.0194 0.5772  4 O 2.36-2.59
Na33 0.6890 0.0299 0.0833  5 O 2.37-2.65
Na34 0.6899 0.3563 0.9067  3 O 2.39-2.45
Na35 0.8193 0.1944 0.4968  3 O 2.31-2.52
Na36 0.8210 0.8596 0.1716  5 O 2.43-2.63
Na37 0.8222 0.5115 0.8325  3 O 2.35-2.51
Na38 0.8582 0.2136 0.8330  3 O 2.33-2.60
Na39 0.8657 0.8444 0.8224  6 O 2.44-2.69
Na40 0.8677 0.1797 0.1718  5 O 2.42-2.68
Na41 0.8837 0.5308 0.1678  3 O 2.34-2.61
Na42 0.8851 0.4979 0.5004  4 O 2.30-2.52
Mg1 0.1837 0.8555 0.0662  6 O 2.02-2.23
Mg2 0.1926 0.8572 0.2752  3 O 1.95-1.99
Mg3 0.1956 0.1956 0.1056  6 O 1.96-2.20
Mg4 0.1975 0.5166 0.2386  3 O 1.92-2.12
Mg5 0.1986 0.5113 0.9276  2 O 1.89-1.90
Mg6 0.2004 0.8508 0.7628  4 O 1.93-2.12
Mg7 0.2027 0.1929 0.5902  3 O 1.91-2.11
Mg8 0.2047 0.5197 0.4310  3 O 1.95-2.08
Mg9 0.2082 0.5223 0.7365  4 O 1.98-2.17
Mg10 0.6787 0.0191 0.4325  3 O 1.91-2.06
Mg11 0.6790 0.0245 0.2404  4 O 1.96-2.14
Mg12 0.6832 0.0208 0.9301  3 O 1.93-2.12
Mg13 0.6846 0.0168 0.7358  3 O 1.96-2.07
Mg14 0.6861 0.3481 0.2655  3 O 1.94-2.03
Mg15 0.6893 0.6953 0.6050  6 O 1.98-2.20
Mg16 0.6900 0.3563 0.7731  6 O 2.00-2.20
Mg17 0.6925 0.6932 0.0961  3 O 1.91-2.08
Mg18 0.6962 0.3500 0.5618  5 O 1.96-2.17
Si1 0.0436 0.3786 0.8316  4 O 1.60-1.74
Si2 0.0448 0.3409 0.5014  4 O 1.62-1.71
Si3 0.3344 0.6667 0.3320  4 O 1.60-1.73
Si4 0.3401 0.7040 0.6673  4 O 1.62-1.69
Si5 0.3476 0.3750 0.3335  4 O 1.62-1.69
Si6 0.3943 0.0243 0.3333  4 O 1.59-1.70
Si7 0.4885 0.5242 0.8347  4 O 1.60-1.72
Si8 0.4994 0.1849 0.5047  4 O 1.62-1.69
Si9 0.5364 0.8760 0.8353  4 O 1.62-1.70
Si10 0.5444 0.2031 0.1675  4 O 1.61-1.71
Si11 0.5513 0.1668 0.8323  4 O 1.60-1.74
Si12 0.8380 0.8800 0.3325  4 O 1.60-1.75
Si13 0.8422 0.8399 0.0019  4 O 1.62-1.71
Si14 0.8954 0.8589 0.6701  4 O 1.63-1.69
Si15 0.9896 0.3593 0.1696  4 O 1.62-1.71
Sn1 0.1848 0.8536 0.5696  4 O 1.95-2.18
Sn2 0.2019 0.1958 0.8982  5 O 1.98-2.17
Sn3 0.2084 0.1947 0.4021  4 O 1.96-2.04
Sn4 0.6821 0.6961 0.3990  5 O 1.99-2.16
Sn5 0.6897 0.6931 0.8988  6 O 1.99-2.21
Sn6 0.7005 0.3512 0.0710  3 O 1.95-2.15
S1 0.0438 0.7092 0.1655  4 O 1.47-1.51
S2 0.0470 0.0014 0.1650  4 O 1.47-1.50
S3 0.0472 0.6684 0.8356  4 O 1.47-1.52
S4 0.0488 0.0387 0.5020  4 O 1.46-1.53
S5 0.3360 0.0049 0.6672  4 O 1.47-1.51
S6 0.3373 0.0444 0.0027  4 O 1.46-1.54
S7 0.3450 0.3398 0.0033  4 O 1.46-1.53
S8 0.3937 0.6878 0.0034  4 O 1.47-1.51
S9 0.4023 0.3556 0.6662  4 O 1.48-1.51
S10 0.4817 0.8535 0.1638  4 O 1.47-1.52
S11 0.5395 0.8383 0.5035  4 O 1.45-1.53
S12 0.5480 0.5064 0.1652  4 O 1.47-1.51
S13 0.5480 0.5466 0.5026  4 O 1.46-1.55
S14 0.8373 0.5009 0.6655  4 O 1.48-1.50
S15 0.8388 0.5404 0.0019  4 O 1.48-1.50
S16 0.8412 0.1688 0.3340  4 O 1.46-1.50
S17 0.8419 0.2092 0.6674  4 O 1.48-1.51
S18 0.8985 0.5234 0.3340  4 O 1.47-1.53
S19 0.9019 0.1898 0.0007  4 O 1.47-1.53
S20 0.9831 0.6902 0.5007  4 O 1.47-1.53
S21 0.9862 0.0230 0.8348  4 O 1.47-1.53
O1 0.0000 0.5102 0.6712  1 S 1.49
O2 0.9997 0.8436 0.7281  1 Si 1.63
O3 0.0006 0.5368 0.9972  1 S 1.48
O4 0.0024 0.8842 0.6107  1 Si 1.69
O5 0.0058 0.1763 0.3379  1 S 1.50
O6 0.0057 0.1971 0.6622  1 S 1.51
O7 0.0134 0.8614 0.3255  1 Si 1.63
O8 0.0236 0.8464 0.0041  1 Si 1.65
O9 0.0635 0.2741 0.4418  1 Si 1.71
O10 0.0643 0.4369 0.8897  1 Si 1.60
O11 0.0701 0.7636 0.2179  1 S 1.47
O12 0.0730 0.6130 0.4949  1 S 1.47
O13 0.0741 0.6171 0.7816  1 S 1.47
O14 0.0741 0.9485 0.1105  1 S 1.50
O15 0.0758 0.7691 0.5025  1 S 1.50
O16 0.0805 0.0904 0.5558  1 S 1.48
O17 0.0833 0.1017 0.8407  1 S 1.53
O18 0.0834 0.2719 0.1594  1 Si 1.63
O19 0.0847 0.9479 0.8286  1 S 1.49
O20 0.0942 0.4449 0.1705  1 Si 1.65
O21 0.1072 0.6297 0.8904  1 S 1.47
O22 0.1083 0.7487 0.1109  1 S 1.49
O23 0.1083 0.7558 0.8310  1 S 1.49
O24 0.1119 0.0780 0.4468  1 S 1.50
O25 0.1118 0.6234 0.1710  1 S 1.49
O26 0.1129 0.0873 0.1579  1 S 1.49
O27 0.1145 0.9607 0.2177  1 S 1.47
O28 0.1175 0.2969 0.5600  1 Si 1.62
O29 0.1206 0.2779 0.8391  1 Si 1.74
O30 0.1211 0.4356 0.4939  1 Si 1.65
O31 0.1246 0.9517 0.5052  1 S 1.53
O32 0.1277 0.4133 0.7720  1 Si 1.63
O33 0.2531 0.6236 0.3878  1 Si 1.60
O34 0.2545 0.6118 0.6690  1 Si 1.65
O35 0.2565 0.7494 0.6076  1 Si 1.69
O36 0.2619 0.0892 0.6613  1 S 1.49
O37 0.2628 0.2797 0.3366  1 Si 1.69
O38 0.2639 0.0809 0.9461  1 S 1.54
O39 0.2689 0.4127 0.2736  1 Si 1.63
O40 0.2710 0.9569 0.0065  1 S 1.50
O41 0.2725 0.9642 0.7206  1 S 1.47
O42 0.2744 0.4234 0.9977  1 S 1.46
O43 0.2768 0.7641 0.3250  1 Si 1.62
O44 0.2781 0.1088 0.3408  1 Si 1.70
O45 0.2837 0.2942 0.0543  1 S 1.46
O46 0.2876 0.9418 0.3257  1 Si 1.63
O47 0.2919 0.6159 0.9967  1 S 1.47
O48 0.2978 0.0968 0.0538  1 S 1.46
O49 0.3054 0.4325 0.6696  1 S 1.50
O50 0.3063 0.2777 0.6635  1 S 1.51
O51 0.3060 0.7685 0.0086  1 S 1.50
O52 0.3138 0.9501 0.6127  1 S 1.51
O53 0.3200 0.7648 0.7249  1 Si 1.62
O54 0.3216 0.4312 0.3930  1 Si 1.62
O55 0.3239 0.2884 0.9462  1 S 1.53
O56 0.3239 0.6112 0.2702  1 Si 1.64
O57 0.3570 0.8647 0.8298  1 Si 1.65
O58 0.3615 0.1715 0.8402  1 Si 1.74
O59 0.3673 0.1925 0.1587  1 Si 1.63
O60 0.3737 0.8477 0.5070  1 S 1.52
O61 0.3870 0.5105 0.8922  1 Si 1.60
O62 0.3866 0.5166 0.1684  1 S 1.48
O63 0.3888 0.5388 0.4961  1 S 1.46
O64 0.3889 0.8426 0.2172  1 S 1.47
O65 0.3890 0.8637 0.1094  1 S 1.49
O66 0.3964 0.2079 0.4441  1 Si 1.69
O67 0.3985 0.1706 0.5634  1 Si 1.62
O68 0.3985 0.5504 0.7743  1 Si 1.63
O69 0.4830 0.0491 0.2720  1 Si 1.64
O70 0.4860 0.7032 0.9483  1 S 1.51
O71 0.4890 0.6742 0.0557  1 S 1.47
O72 0.4947 0.3451 0.7200  1 S 1.48
O73 0.4948 0.3667 0.6124  1 S 1.48
O74 0.4969 0.0362 0.9970  1 S 1.46
O75 0.4975 0.0150 0.6706  1 S 1.48
O76 0.5003 0.0054 0.3884  1 Si 1.59
O77 0.5103 0.3493 0.0070  1 S 1.51
O78 0.5175 0.6928 0.6591  1 Si 1.63
O79 0.5233 0.6713 0.3398  1 Si 1.73
O80 0.5277 0.3646 0.3283  1 Si 1.65
O81 0.5578 0.7856 0.4464  1 S 1.53
O82 0.5610 0.1098 0.7716  1 Si 1.63
O83 0.5632 0.9294 0.8961  1 Si 1.62
O84 0.5661 0.2666 0.2230  1 Si 1.61
O85 0.5712 0.4511 0.1108  1 S 1.51
O86 0.5754 0.7738 0.1602  1 S 1.52
O87 0.5787 0.9290 0.1669  1 S 1.48
O88 0.5855 0.6000 0.5536  1 S 1.46
O89 0.5901 0.2760 0.5066  1 Si 1.65
O90 0.5948 0.4418 0.8270  1 Si 1.62
O91 0.5999 0.7924 0.5546  1 S 1.46
O92 0.6047 0.6095 0.8421  1 Si 1.72
O93 0.6076 0.2643 0.8259  1 Si 1.62
O94 0.6102 0.9203 0.4972  1 S 1.45
O95 0.6154 0.1066 0.4963  1 Si 1.63
O96 0.6151 0.4681 0.2185  1 S 1.47
O97 0.6167 0.4609 0.5066  1 S 1.49
O98 0.6182 0.5920 0.1570  1 S 1.50
O99 0.6188 0.7790 0.8390  1 Si 1.70
O100 0.6187 0.9132 0.7765  1 Si 1.62
O101 0.6216 0.5836 0.4457  1 S 1.55
O102 0.6288 0.2458 0.1063  1 Si 1.71
O103 0.6302 0.1108 0.1691  1 Si 1.65
O104 0.6306 0.1246 0.8893  1 Si 1.60
O105 0.7577 0.9114 0.2704  1 Si 1.64
O106 0.7633 0.7780 0.3397  1 Si 1.75
O107 0.7638 0.7945 0.0583  1 Si 1.62
O108 0.7683 0.4543 0.0050  1 S 1.50
O109 0.7696 0.9349 0.9943  1 Si 1.64
O110 0.7709 0.4622 0.7193  1 S 1.48
O111 0.7719 0.5878 0.6587  1 S 1.50
O112 0.7731 0.1233 0.6732  1 S 1.49
O113 0.7754 0.5802 0.9464  1 S 1.50
O114 0.7773 0.2562 0.3288  1 S 1.49
O115 0.7781 0.1296 0.3875  1 S 1.46
O116 0.7786 0.2494 0.6135  1 S 1.48
O117 0.7906 0.9444 0.6714  1 Si 1.65
O118 0.8011 0.4486 0.3271  1 S 1.48
O119 0.8013 0.6023 0.3400  1 S 1.53
O120 0.8008 0.7715 0.6602  1 Si 1.64
O121 0.8039 0.5930 0.0551  1 S 1.48
O122 0.8089 0.2689 0.0024  1 S 1.50
O123 0.8088 0.4479 0.6118  1 S 1.49
O124 0.8111 0.9400 0.3889  1 Si 1.60
O125 0.8122 0.1127 0.9952  1 S 1.47
O126 0.8146 0.1182 0.2791  1 S 1.49
O127 0.8157 0.2629 0.7205  1 S 1.48
O128 0.8220 0.7725 0.9427  1 Si 1.71
O129 0.8656 0.3518 0.5037  1 Si 1.64
O130 0.8685 0.3611 0.8248  1 Si 1.62
O131 0.8805 0.6755 0.8387  1 S 1.52
O132 0.8799 0.6981 0.1598  1 S 1.51
O133 0.8826 0.3456 0.2264  1 Si 1.62
O134 0.8841 0.3863 0.1091  1 Si 1.71
O135 0.8848 0.0103 0.1705  1 S 1.49
O136 0.8870 0.6808 0.5529  1 S 1.47
O137 0.8894 0.0304 0.4968  1 S 1.46
O138 0.8912 0.7016 0.4441  1 S 1.53
O139 0.8974 0.0388 0.7809  1 S 1.47
O140 0.8976 0.0105 0.8889  1 S 1.47
O141 0.9869 0.5402 0.2797  1 S 1.48
O142 0.9884 0.5109 0.3877  1 S 1.47
O143 0.9936 0.2007 0.9440  1 S 1.53
O144 0.9985 0.1803 0.0528  1 S 1.47